# 1
# Li4Fe3Cu2Sb3O16

An optimized crystal structure of Li4Fe3Cu2Sb3O16 (GGA+U, Materials Project).

abc: 6.105 6.120 9.949
angles: 89.34 88.77 60.31
Atoms (fractional coordinates):
Li1 0.000 0.000 0.000
Li2 0.007 0.998 0.489
Li3 0.353 0.331 0.595
Li4 0.684 0.668 0.115
Fe1 0.188 0.669 0.276
Fe2 0.681 0.174 0.276
Fe3 0.854 0.838 0.774
Cu1 0.369 0.354 0.013
Cu2 0.688 0.678 0.462
Sb1 0.191 0.175 0.275
Sb2 0.359 0.840 0.778
Sb3 0.853 0.347 0.777
O1 0.001 0.516 0.671
O2 0.024 0.009 0.178
O3 0.026 0.013 0.671
O4 0.056 0.485 0.156
O5 0.173 0.162 0.891
O6 0.176 0.703 0.886
O7 0.330 0.853 0.387
O8 0.348 0.336 0.388
O9 0.501 0.484 0.157
O10 0.504 0.033 0.159
O11 0.534 0.979 0.669
O12 0.536 0.521 0.664
O13 0.682 0.671 0.891
O14 0.706 0.171 0.886
O15 0.859 0.844 0.384
O16 0.866 0.319 0.388

Output
Formation energy: -1749 meV per atom
Magnetization: 17.0 μB/f.u.

# 2
# Li4Fe2Cu3Sb3O16

An optimized crystal structure of Li4Fe2Cu3Sb3O16 (GGA+U, Materials Project).

abc: 6.145 6.145 9.705
angles: 91.68 91.68 58.87
Atoms (fractional coordinates):
Li1 0.000 0.000 0.000
Li2 0.011 0.011 0.521
Li3 0.349 0.349 0.413
Li4 0.683 0.683 0.898
Fe1 0.371 0.371 0.991
Fe2 0.698 0.698 0.520
Cu1 0.191 0.683 0.726
Cu2 0.683 0.191 0.726
Cu3 0.851 0.851 0.232
Sb1 0.193 0.193 0.731
Sb2 0.358 0.851 0.229
Sb3 0.851 0.358 0.229
O1 0.025 0.025 0.817
O2 0.035 0.035 0.337
O3 0.054 0.492 0.865
O4 0.173 0.173 0.115
O5 0.187 0.699 0.117
O6 0.352 0.352 0.623
O7 0.356 0.874 0.609
O8 0.492 0.054 0.865
O9 0.500 0.500 0.854
O10 0.535 0.535 0.351
O11 0.536 0.980 0.350
O12 0.668 0.668 0.110
O13 0.699 0.187 0.117
O14 0.857 0.857 0.613
O15 0.874 0.356 0.609
O16 0.980 0.536 0.350

Output
Formation energy: -1699 meV per atom
Magnetization: 14.0 μB/f.u.

It is found that the final energy values, taken in the order of the records, are -5.857, -5.732 eV/atom.